# 1
Material: Na2CdSnS4
Method: DFT, GGA-PBE
State: optimized geometry

Lattice parameters (Å, degrees): 7.051 7.051 6.413 62.96 62.96 99.96
Element x y z (fractional)
S 0.623 0.849 0.552
S 0.930 0.647 0.975
S 0.151 0.377 0.448
S 0.353 0.070 0.025
Na 0.764 0.236 0.000
Na 0.514 0.486 0.500
Sn 0.264 0.736 0.000
Cd 0.014 0.986 0.500

## Properties
**Raw total energy**: -3.802 eV per atom
**Space-group type**: No. 82
**Formation energy**: -1.04 eV per atom

# 2
Material: SiO2
Method: DFT, GGA-PBE
State: optimized geometry

Lattice parameters (Å, degrees): 8.828 8.828 9.708 90.00 90.00 121.56
Element x y z (fractional)
Si 0.091 0.284 0.349
Si 0.063 0.563 0.157
Si 0.284 0.091 0.651
Si 0.591 0.784 0.651
Si 0.784 0.591 0.349
Si 0.437 0.937 0.157
Si 0.563 0.063 0.843
Si 0.937 0.437 0.843
Si 0.409 0.216 0.349
Si 0.909 0.716 0.651
Si 0.716 0.909 0.349
Si 0.216 0.409 0.651
O 0.096 0.904 0.650
O 0.000 0.500 0.000
O 0.376 0.124 0.500
O 0.914 0.587 0.766
O 0.904 0.096 0.350
O 0.124 0.376 0.500
O 0.413 0.086 0.766
O 0.086 0.413 0.234
O 0.750 0.250 0.843
O 0.750 0.750 0.689
O 0.596 0.404 0.350
O 0.250 0.250 0.689
O 0.250 0.250 0.311
O 0.586 0.913 0.766
O 0.624 0.876 0.500
O 0.876 0.624 0.500
O 0.404 0.596 0.650
O 0.587 0.914 0.234
O 0.087 0.414 0.766
O 0.913 0.586 0.234
O 0.414 0.087 0.234
O 0.500 0.000 0.000
O 0.750 0.750 0.311
O 0.250 0.750 0.157

## Properties
**Raw total energy**: -7.905 eV per atom
**Space-group type**: No. 67
**Formation energy**: -3.26 eV per atom